No. 1
Below is a relaxed structure of YCdPt2, with properties calculated at the PBE level.

Properties
space group: Fm-3m, No. 225

a b c (Å): 6.807 6.807 6.807
angles (deg): 90.00 90.00 90.00
Fractional positions:
Y 0.000 0.000 0.000
Y 0.000 0.500 0.500
Y 0.500 0.000 0.500
Y 0.500 0.500 0.000
Cd 0.000 0.000 0.500
Cd 0.000 0.500 0.000
Cd 0.500 0.000 0.000
Cd 0.500 0.500 0.500
Pt 0.250 0.250 0.250
Pt 0.250 0.250 0.750
Pt 0.250 0.750 0.250
Pt 0.250 0.750 0.750
Pt 0.750 0.250 0.250
Pt 0.750 0.250 0.750
Pt 0.750 0.750 0.250
Pt 0.750 0.750 0.750

No. 2
Below is a relaxed structure of PuCd11, with properties calculated at the PBE level.

Properties
space group: Pm-3m, No. 221

a b c (Å): 9.521 9.521 9.521
angles (deg): 90.00 90.00 90.00
Fractional positions:
Pu 0.000 0.000 0.500
Pu 0.000 0.500 0.000
Pu 0.500 0.000 0.000
Cd 0.000 0.345 0.345
Cd 0.000 0.345 0.655
Cd 0.000 0.655 0.345
Cd 0.000 0.655 0.655
Cd 0.155 0.155 0.155
Cd 0.155 0.155 0.845
Cd 0.155 0.845 0.155
Cd 0.155 0.845 0.845
Cd 0.266 0.266 0.500
Cd 0.266 0.500 0.266
Cd 0.266 0.500 0.734
Cd 0.266 0.734 0.500
Cd 0.345 0.000 0.345
Cd 0.345 0.000 0.655
Cd 0.345 0.345 0.000
Cd 0.345 0.655 0.000
Cd 0.500 0.266 0.266
Cd 0.500 0.266 0.734
Cd 0.500 0.500 0.500
Cd 0.500 0.734 0.266
Cd 0.500 0.734 0.734
Cd 0.655 0.000 0.345
Cd 0.655 0.000 0.655
Cd 0.655 0.345 0.000
Cd 0.655 0.655 0.000
Cd 0.734 0.266 0.500
Cd 0.734 0.500 0.266
Cd 0.734 0.500 0.734
Cd 0.734 0.734 0.500
Cd 0.845 0.155 0.155
Cd 0.845 0.155 0.845
Cd 0.845 0.845 0.155
Cd 0.845 0.845 0.845

No. 3
Below is a relaxed structure of PuCdRh2, with properties calculated at the PBE level.

Properties
space group: Fm-3m, No. 225

a b c (Å): 6.601 6.601 6.601
angles (deg): 90.00 90.00 90.00
Fractional positions:
Pu 0.000 0.000 0.000
Pu 0.000 0.500 0.500
Pu 0.500 0.000 0.500
Pu 0.500 0.500 0.000
Cd 0.000 0.000 0.500
Cd 0.000 0.500 0.000
Cd 0.500 0.000 0.000
Cd 0.500 0.500 0.500
Rh 0.250 0.250 0.250
Rh 0.250 0.250 0.750
Rh 0.250 0.750 0.250
Rh 0.250 0.750 0.750
Rh 0.750 0.250 0.250
Rh 0.750 0.250 0.750
Rh 0.750 0.750 0.250
Rh 0.750 0.750 0.750

No. 4
Below is a relaxed structure of RbCd13, with properties calculated at the PBE level.

Properties
space group: Fm-3c, No. 226

a b c (Å): 10.005 10.005 10.005
angles (deg): 60.00 60.00 60.00
Fractional positions:
Rb 0.250 0.250 0.250
Rb 0.750 0.750 0.750
Cd 0.000 0.000 0.000
Cd 0.059 0.301 0.699
Cd 0.059 0.699 0.941
Cd 0.059 0.941 0.301
Cd 0.199 0.441 0.801
Cd 0.199 0.559 0.441
Cd 0.199 0.801 0.559
Cd 0.301 0.059 0.941
Cd 0.301 0.699 0.059
Cd 0.301 0.941 0.699
Cd 0.441 0.199 0.559
Cd 0.441 0.559 0.801
Cd 0.441 0.801 0.199
Cd 0.500 0.500 0.500
Cd 0.559 0.199 0.801
Cd 0.559 0.441 0.199
Cd 0.559 0.801 0.441
Cd 0.699 0.059 0.301
Cd 0.699 0.301 0.941
Cd 0.699 0.941 0.059
Cd 0.801 0.199 0.441
Cd 0.801 0.441 0.559
Cd 0.801 0.559 0.199
Cd 0.941 0.059 0.699
Cd 0.941 0.301 0.059
Cd 0.941 0.699 0.301

No. 5
Below is a relaxed structure of Rb3Cd, with properties calculated at the PBE level.

Properties
space group: I4/mmm, No. 139
polymorph energy (0 for the lowest one): 5.7 kJ/mol of formula units

a b c (Å): 6.304 6.304 12.761
angles (deg): 90.00 90.00 90.00
Fractional positions:
Rb 0.000 0.000 0.000
Rb 0.000 0.500 0.250
Rb 0.000 0.500 0.750
Rb 0.500 0.000 0.250
Rb 0.500 0.000 0.750
Rb 0.500 0.500 0.500
Cd 0.000 0.000 0.500
Cd 0.500 0.500 0.000

No. 6
Below is a relaxed structure of Rb3Cd, with properties calculated at the PBE level.

Properties
space group: Fm-3m, No. 225
polymorph energy (0 for the lowest one): 1.9 kJ/mol of formula units

a b c (Å): 10.002 10.002 10.002
angles (deg): 90.00 90.00 90.00
Fractional positions:
Rb 0.000 0.000 0.000
Rb 0.000 0.500 0.500
Rb 0.250 0.250 0.250
Rb 0.250 0.250 0.750
Rb 0.250 0.750 0.250
Rb 0.250 0.750 0.750
Rb 0.500 0.000 0.500
Rb 0.500 0.500 0.000
Rb 0.750 0.250 0.250
Rb 0.750 0.250 0.750
Rb 0.750 0.750 0.250
Rb 0.750 0.750 0.750
Cd 0.000 0.000 0.500
Cd 0.000 0.500 0.000
Cd 0.500 0.000 0.000
Cd 0.500 0.500 0.500

No. 7
Below is a relaxed structure of Rb3Cd, with properties calculated at the PBE level.

Properties
space group: Pm-3m, No. 221
polymorph energy (0 for the lowest one): 0.0 kJ/mol of formula units

a b c (Å): 6.313 6.313 6.313
angles (deg): 90.00 90.00 90.00
Fractional positions:
Rb 0.000 0.000 0.500
Rb 0.000 0.500 0.000
Rb 0.500 0.000 0.000
Cd 0.500 0.500 0.500

No. 8
Below is a relaxed structure of Rb2Cd3Se4, with properties calculated at the PBE level.

Properties
space group: Pnma, No. 62

a b c (Å): 14.957 11.243 6.961
angles (deg): 90.00 90.00 90.00
Fractional positions:
Rb 0.000 0.000 0.000
Rb 0.000 0.500 0.000
Rb 0.038 0.250 0.480
Rb 0.462 0.750 0.980
Rb 0.500 0.000 0.500
Rb 0.500 0.500 0.500
Rb 0.538 0.250 0.020
Rb 0.962 0.750 0.520
Cd 0.207 0.750 0.253
Cd 0.245 0.095 0.185
Cd 0.245 0.405 0.185
Cd 0.255 0.595 0.685
Cd 0.255 0.905 0.685
Cd 0.293 0.250 0.753
Cd 0.707 0.750 0.247
Cd 0.745 0.095 0.315
Cd 0.745 0.405 0.315
Cd 0.755 0.595 0.815
Cd 0.755 0.905 0.815
Cd 0.793 0.250 0.747
Se 0.139 0.538 0.403
Se 0.139 0.962 0.403
Se 0.140 0.250 0.962
Se 0.153 0.750 0.891
Se 0.347 0.250 0.391
Se 0.360 0.750 0.462
Se 0.361 0.038 0.903
Se 0.361 0.462 0.903
Se 0.639 0.538 0.097
Se 0.639 0.962 0.097
Se 0.640 0.250 0.538
Se 0.653 0.750 0.609
Se 0.847 0.250 0.109
Se 0.860 0.750 0.038
Se 0.861 0.038 0.597
Se 0.861 0.462 0.597

no.,formation enthalpy at 0 K (eV per atom)
1,-0.8098
2,-0.0477
3,0.0501
4,-0.0456
5,0.0689
6,0.0592
7,0.0543
8,-1.0547